Entry 1:
# Li4Cu7P6O24 (PBE, relaxed)
data_Li4Cu7P6O24
_cell_length_a 11.077
_cell_length_b 13.950
_cell_length_c 6.254
_cell_angle_alpha 90.00
_cell_angle_beta 104.69
_cell_angle_gamma 90.00
_space_group_name_H-M_alt 'C 1 m 1'
_space_group_IT_number 8
loop_
_space_group_symop_operation_xyz
'x,y,z'
'x,-y,z'
'x+1/2,y+1/2,z'
'x+1/2,-y+1/2,z'
loop_
_atom_site_label
_atom_site_type_symbol
_atom_site_fract_x
_atom_site_fract_y
_atom_site_fract_z
_atom_site_occupancy
Li1 Li 0.000 0.000 0.000 1
Li2 Li 0.174 0.500 0.986 1
Li3 Li 0.358 0.127 0.982 1
Cu1 Cu 0.117 0.187 0.332 1
Cu2 Cu 0.273 0.322 0.696 1
Cu3 Cu 0.445 0.125 0.515 1
Cu4 Cu 0.451 0.500 0.512 1
P1 P 0.039 0.190 0.801 1
P2 P 0.116 0.500 0.441 1
P3 P 0.265 0.000 0.590 1
P4 P 0.344 0.315 0.221 1
O1 O 0.122 0.411 0.601 1
O2 O 0.124 0.168 0.031 1
O3 O 0.126 0.207 0.646 1
O4 O 0.149 0.000 0.676 1
O5 O 0.213 0.500 0.314 1
O6 O 0.258 0.301 0.380 1
O7 O 0.261 0.348 0.996 1
O8 O 0.270 0.091 0.442 1
O9 O 0.384 0.000 0.786 1
O10 O 0.418 0.221 0.218 1
O11 O 0.447 0.399 0.741 1
O12 O 0.448 0.222 0.780 1
O13 O 0.449 0.395 0.296 1
O14 O 0.478 0.000 0.297 1
# Spin magnetization, μB per formula unit: 7.000
# Energy, eV/atom: -6.19
# DFT formation energy, eV per atom: -2.020
# Polymorph energy (0 for the lowest one), eV/f.u.: 0.18


Entry 2:
# LiCu2PO4 (PBE, relaxed)
data_LiCu2PO4
_cell_length_a 5.183
_cell_length_b 6.239
_cell_length_c 5.459
_cell_angle_alpha 90.00
_cell_angle_beta 90.22
_cell_angle_gamma 90.00
_space_group_name_H-M_alt 'P 1 m 1'
_space_group_IT_number 6
loop_
_space_group_symop_operation_xyz
'x,y,z'
'x,-y,z'
loop_
_atom_site_label
_atom_site_type_symbol
_atom_site_fract_x
_atom_site_fract_y
_atom_site_fract_z
_atom_site_occupancy
Li1 Li 0.000 0.250 0.000 1
Cu1 Cu 0.520 0.000 0.126 1
Cu2 Cu 0.522 0.256 0.670 1
Cu3 Cu 0.982 0.500 0.526 1
P1 P 0.017 0.000 0.492 1
P2 P 0.500 0.500 0.147 1
O1 O 0.316 0.000 0.492 1
O2 O 0.383 0.296 0.017 1
O3 O 0.403 0.500 0.417 1
O4 O 0.799 0.500 0.130 1
O5 O 0.914 0.000 0.223 1
O6 O 0.919 0.201 0.637 1
# Spin magnetization, μB per formula unit: 0.000
# Energy, eV/atom: -5.91
# DFT formation energy, eV per atom: -1.843
# Polymorph energy (0 for the lowest one), eV/f.u.: 0.12


Entry 3:
# LiCu2PO4 (PBE, relaxed)
data_LiCu2PO4
_cell_length_a 5.569
_cell_length_b 6.199
_cell_length_c 10.317
_cell_angle_alpha 89.74
_cell_angle_beta 88.81
_cell_angle_gamma 88.89
_space_group_name_H-M_alt 'P 1'
_space_group_IT_number 1
loop_
_space_group_symop_operation_xyz
'x,y,z'
loop_
_atom_site_label
_atom_site_type_symbol
_atom_site_fract_x
_atom_site_fract_y
_atom_site_fract_z
_atom_site_occupancy
Li1 Li 0.000 0.000 0.000 1
Li2 Li 0.010 0.002 0.504 1
Li3 Li 0.180 0.252 0.751 1
Li4 Li 0.528 0.254 0.509 1
Cu1 Cu 0.209 0.741 0.745 1
Cu2 Cu 0.210 0.738 0.245 1
Cu3 Cu 0.220 0.265 0.240 1
Cu4 Cu 0.505 0.719 0.014 1
Cu5 Cu 0.506 0.717 0.522 1
Cu6 Cu 0.512 0.278 0.012 1
Cu7 Cu 0.615 0.496 0.255 1
Cu8 Cu 0.624 0.512 0.763 1
P1 P 0.029 0.492 0.502 1
P2 P 0.030 0.500 0.995 1
P3 P 0.693 0.012 0.749 1
P4 P 0.701 0.000 0.258 1
O1 O 0.033 0.492 0.351 1
O2 O 0.034 0.497 0.845 1
O3 O 0.148 0.709 0.548 1
O4 O 0.150 0.710 0.044 1
O5 O 0.154 0.285 0.043 1
O6 O 0.171 0.294 0.557 1
O7 O 0.535 0.212 0.795 1
O8 O 0.556 0.198 0.318 1
O9 O 0.557 0.800 0.309 1
O10 O 0.557 0.813 0.808 1
O11 O 0.693 0.004 0.599 1
O12 O 0.700 0.007 0.108 1
O13 O 0.764 0.487 0.554 1
O14 O 0.770 0.501 0.053 1
O15 O 0.951 0.017 0.803 1
O16 O 0.959 0.996 0.312 1
# Spin magnetization, μB per formula unit: 0.000
# Energy, eV/atom: -5.92
# DFT formation energy, eV per atom: -1.853
# Polymorph energy (0 for the lowest one), eV/f.u.: 0.04


Entry 4:
# Li4Cu7P6O24 (PBE, relaxed)
data_Li4Cu7P6O24
_cell_length_a 10.692
_cell_length_b 14.155
_cell_length_c 6.304
_cell_angle_alpha 90.00
_cell_angle_beta 104.51
_cell_angle_gamma 90.00
_space_group_name_H-M_alt 'C 1 m 1'
_space_group_IT_number 8
loop_
_space_group_symop_operation_xyz
'x,y,z'
'x,-y,z'
'x+1/2,y+1/2,z'
'x+1/2,-y+1/2,z'
loop_
_atom_site_label
_atom_site_type_symbol
_atom_site_fract_x
_atom_site_fract_y
_atom_site_fract_z
_atom_site_occupancy
Li1 Li 0.000 0.000 0.000 1
Li2 Li 0.146 0.500 0.909 1
Li3 Li 0.440 0.110 0.002 1
Cu1 Cu 0.008 0.000 0.496 1
Cu2 Cu 0.009 0.344 0.495 1
Cu3 Cu 0.187 0.180 0.311 1
Cu4 Cu 0.330 0.321 0.676 1
P1 P 0.109 0.192 0.796 1
P2 P 0.186 0.500 0.413 1
P3 P 0.328 0.000 0.572 1
P4 P 0.406 0.312 0.193 1
O1 O 0.004 0.110 0.735 1
O2 O 0.014 0.109 0.260 1
O3 O 0.028 0.284 0.790 1
O4 O 0.079 0.500 0.199 1
O5 O 0.172 0.414 0.566 1
O6 O 0.191 0.207 0.624 1
O7 O 0.195 0.000 0.619 1
O8 O 0.203 0.165 0.013 1
O9 O 0.317 0.345 0.974 1
O10 O 0.319 0.500 0.363 1
O11 O 0.323 0.297 0.362 1
O12 O 0.345 0.088 0.431 1
O13 O 0.435 0.000 0.790 1
O14 O 0.482 0.218 0.194 1
# Spin magnetization, μB per formula unit: 6.999
# Energy, eV/atom: -6.20
# DFT formation energy, eV per atom: -2.024
# Polymorph energy (0 for the lowest one), eV/f.u.: 0.00


Entry 5:
# LiCu2PO4 (PBE, relaxed)
data_LiCu2PO4
_cell_length_a 5.422
_cell_length_b 5.184
_cell_length_c 6.265
_cell_angle_alpha 90.00
_cell_angle_beta 91.14
_cell_angle_gamma 90.00
_space_group_name_H-M_alt 'P 1 21 1'
_space_group_IT_number 4
loop_
_space_group_symop_operation_xyz
'x,y,z'
'-x,y+1/2,-z'
loop_
_atom_site_label
_atom_site_type_symbol
_atom_site_fract_x
_atom_site_fract_y
_atom_site_fract_z
_atom_site_occupancy
Li1 Li 0.172 0.000 0.499 1
Cu1 Cu 0.166 0.990 0.002 1
Cu2 Cu 0.304 0.496 0.245 1
P1 P 0.327 0.500 0.738 1
O1 O 0.180 0.388 0.541 1
O2 O 0.202 0.394 0.945 1
O3 O 0.313 0.799 0.737 1
O4 O 0.401 0.906 0.268 1
# Spin magnetization, μB per formula unit: 0.000
# Energy, eV/atom: -5.91
# DFT formation energy, eV per atom: -1.842
# Polymorph energy (0 for the lowest one), eV/f.u.: 0.13


Entry 6:
# Li3CuP2O7 (PBE, relaxed)
data_Li3CuP2O7
_cell_length_a 5.155
_cell_length_b 7.872
_cell_length_c 9.017
_cell_angle_alpha 109.92
_cell_angle_beta 92.30
_cell_angle_gamma 108.75
_space_group_name_H-M_alt 'P -1'
_space_group_IT_number 2
loop_
_space_group_symop_operation_xyz
'x,y,z'
'-x,-y,-z'
loop_
_atom_site_label
_atom_site_type_symbol
_atom_site_fract_x
_atom_site_fract_y
_atom_site_fract_z
_atom_site_occupancy
Li1 Li 0.015 0.187 0.302 1
Li2 Li 0.061 0.864 0.046 1
Li3 Li 0.342 0.867 0.526 1
Cu1 Cu 0.000 0.500 0.000 1
Cu2 Cu 0.000 0.500 0.500 1
P1 P 0.253 0.283 0.680 1
P2 P 0.467 0.713 0.820 1
O1 O 0.064 0.274 0.536 1
O2 O 0.100 0.263 0.817 1
O3 O 0.225 0.152 0.130 1
O4 O 0.298 0.721 0.956 1
O5 O 0.324 0.746 0.684 1
O6 O 0.407 0.143 0.622 1
O7 O 0.492 0.500 0.744 1
# Spin magnetization, μB per formula unit: 0.000
# Energy, eV/atom: -6.29
# DFT formation energy, eV per atom: -2.405


Entry 7:
# LiCu2P5O16 (PBE, relaxed)
data_LiCu2P5O16
_cell_length_a 4.965
_cell_length_b 6.719
_cell_length_c 18.543
_cell_angle_alpha 90.00
_cell_angle_beta 90.46
_cell_angle_gamma 90.00
_space_group_name_H-M_alt 'P 1 c 1'
_space_group_IT_number 7
loop_
_space_group_symop_operation_xyz
'x,y,z'
'x,-y,z+1/2'
loop_
_atom_site_label
_atom_site_type_symbol
_atom_site_fract_x
_atom_site_fract_y
_atom_site_fract_z
_atom_site_occupancy
Li1 Li 0.000 0.124 0.000 1
Cu1 Cu 0.009 0.322 0.564 1
Cu2 Cu 0.519 0.321 0.880 1
P1 P 0.035 0.373 0.394 1
P2 P 0.269 0.253 0.722 1
P3 P 0.497 0.376 0.051 1
P4 P 0.525 0.033 0.603 1
P5 P 0.999 0.037 0.842 1
O1 O 0.048 0.195 0.334 1
O2 O 0.075 0.097 0.761 1
O3 O 0.108 0.367 0.667 1
O4 O 0.182 0.134 0.898 1
O5 O 0.195 0.419 0.040 1
O6 O 0.315 0.114 0.551 1
O7 O 0.329 0.435 0.405 1
O8 O 0.421 0.376 0.776 1
O9 O 0.481 0.106 0.683 1
O10 O 0.491 0.201 0.113 1
O11 O 0.630 0.277 0.985 1
O12 O 0.657 0.455 0.585 1
O13 O 0.700 0.067 0.854 1
O14 O 0.820 0.058 0.583 1
O15 O 0.862 0.466 0.859 1
O16 O 0.917 0.273 0.462 1
# Spin magnetization, μB per formula unit: 4.000
# Energy, eV/atom: -6.61
# DFT formation energy, eV per atom: -2.222


Entry 8:
# LiCuP4O12 (PBE, relaxed)
data_LiCuP4O12
_cell_length_a 4.998
_cell_length_b 7.005
_cell_length_c 7.631
_cell_angle_alpha 109.29
_cell_angle_beta 98.93
_cell_angle_gamma 108.33
_space_group_name_H-M_alt 'P 1'
_space_group_IT_number 1
loop_
_space_group_symop_operation_xyz
'x,y,z'
loop_
_atom_site_label
_atom_site_type_symbol
_atom_site_fract_x
_atom_site_fract_y
_atom_site_fract_z
_atom_site_occupancy
Li1 Li 0.000 0.000 0.000 1
Cu1 Cu 0.723 0.746 0.549 1
P1 P 0.086 0.549 0.760 1
P2 P 0.367 0.946 0.344 1
P3 P 0.566 0.152 0.765 1
P4 P 0.882 0.343 0.340 1
O1 O 0.019 0.283 0.182 1
O2 O 0.092 0.876 0.192 1
O3 O 0.115 0.420 0.549 1
O4 O 0.337 0.076 0.556 1
O5 O 0.371 0.639 0.909 1
O6 O 0.417 0.190 0.918 1
O7 O 0.463 0.762 0.357 1
O8 O 0.635 0.125 0.326 1
O9 O 0.701 0.978 0.749 1
O10 O 0.759 0.520 0.354 1
O11 O 0.821 0.371 0.785 1
O12 O 0.977 0.729 0.745 1
# Spin magnetization, μB per formula unit: 0.000
# Energy, eV/atom: -6.68
# Maximum piezoelectric response, C/m2: 0.203
# DFT formation energy, eV per atom: -2.307
# Polymorph energy (0 for the lowest one), eV/f.u.: 0.65


Entry 9:
# Li3CuPO5 (PBE, relaxed)
data_Li3CuPO5
_cell_length_a 5.354
_cell_length_b 15.787
_cell_length_c 5.028
_cell_angle_alpha 90.00
_cell_angle_beta 90.00
_cell_angle_gamma 90.00
_space_group_name_H-M_alt 'P n a 21'
_space_group_IT_number 33
loop_
_space_group_symop_operation_xyz
'x,y,z'
'-x,-y,z+1/2'
'-x+1/2,y+1/2,z+1/2'
'x+1/2,-y+1/2,z'
loop_
_atom_site_label
_atom_site_type_symbol
_atom_site_fract_x
_atom_site_fract_y
_atom_site_fract_z
_atom_site_occupancy
Li1 Li 0.163 0.096 0.000 1
Li2 Li 0.167 0.700 0.996 1
Li3 Li 0.170 0.502 0.999 1
Cu1 Cu 0.166 0.294 0.007 1
P1 P 0.164 0.902 0.996 1
O1 O 0.109 0.099 0.598 1
O2 O 0.164 0.696 0.607 1
O3 O 0.168 0.904 0.684 1
O4 O 0.191 0.481 0.602 1
O5 O 0.201 0.319 0.590 1
# Spin magnetization, μB per formula unit: 1.000
# Energy, eV/atom: -5.95
# DFT formation energy, eV per atom: -2.298


Entry 10:
# LiCu2PO4 (PBE, relaxed)
data_LiCu2PO4
_cell_length_a 5.191
_cell_length_b 5.372
_cell_length_c 8.127
_cell_angle_alpha 90.00
_cell_angle_beta 129.33
_cell_angle_gamma 90.00
_space_group_name_H-M_alt 'P 1 c 1'
_space_group_IT_number 7
loop_
_space_group_symop_operation_xyz
'x,y,z'
'x,-y,z+1/2'
loop_
_atom_site_label
_atom_site_type_symbol
_atom_site_fract_x
_atom_site_fract_y
_atom_site_fract_z
_atom_site_occupancy
Li1 Li 0.000 0.182 0.000 1
Cu1 Cu 0.259 0.293 0.751 1
Cu2 Cu 0.490 0.186 0.500 1
P1 P 0.746 0.322 0.249 1
O1 O 0.041 0.174 0.450 1
O2 O 0.439 0.312 0.237 1
O3 O 0.668 0.195 0.048 1
O4 O 0.859 0.404 0.764 1
# Spin magnetization, μB per formula unit: 0.000
# Energy, eV/atom: -5.91
# DFT formation energy, eV per atom: -1.843
# Polymorph energy (0 for the lowest one), eV/f.u.: 0.13


Entry 11:
# Li2CuPO4 (PBE, relaxed)
data_Li2CuPO4
_cell_length_a 5.166
_cell_length_b 10.917
_cell_length_c 7.972
_cell_angle_alpha 90.00
_cell_angle_beta 129.71
_cell_angle_gamma 90.00
_space_group_name_H-M_alt 'P 1 21/c 1'
_space_group_IT_number 14
loop_
_space_group_symop_operation_xyz
'x,y,z'
'-x,-y,-z'
'-x,y+1/2,-z+1/2'
'x,-y+1/2,z+1/2'
loop_
_atom_site_label
_atom_site_type_symbol
_atom_site_fract_x
_atom_site_fract_y
_atom_site_fract_z
_atom_site_occupancy
Li1 Li 0.055 0.073 0.256 1
Li2 Li 0.198 0.164 0.001 1
Cu1 Cu 0.286 0.671 0.999 1
P1 P 0.451 0.087 0.753 1
O1 O 0.161 0.082 0.765 1
O2 O 0.235 0.652 0.538 1
O3 O 0.327 0.159 0.545 1
O4 O 0.436 0.044 0.249 1
# Spin magnetization, μB per formula unit: 0.000
# Energy, eV/atom: -6.09
# DFT formation energy, eV per atom: -2.291
# Polymorph energy (0 for the lowest one), eV/f.u.: 0.13


Entry 12:
# Li2CuPO4 (PBE, relaxed)
data_Li2CuPO4
_cell_length_a 5.067
_cell_length_b 5.383
_cell_length_c 6.243
_cell_angle_alpha 90.25
_cell_angle_beta 90.00
_cell_angle_gamma 90.31
_space_group_name_H-M_alt 'P 1'
_space_group_IT_number 1
loop_
_space_group_symop_operation_xyz
'x,y,z'
loop_
_atom_site_label
_atom_site_type_symbol
_atom_site_fract_x
_atom_site_fract_y
_atom_site_fract_z
_atom_site_occupancy
Li1 Li 0.000 0.000 0.000 1
Li2 Li 0.000 0.003 0.501 1
Li3 Li 0.500 0.830 0.751 1
Li4 Li 0.502 0.348 0.496 1
Cu1 Cu 0.500 0.340 0.012 1
Cu2 Cu 0.996 0.495 0.249 1
P1 P 0.006 0.507 0.745 1
P2 P 0.504 0.859 0.255 1
O1 O 0.314 0.506 0.738 1
O2 O 0.392 0.973 0.043 1
O3 O 0.397 0.995 0.457 1
O4 O 0.414 0.581 0.265 1
O5 O 0.811 0.875 0.251 1
O6 O 0.895 0.360 0.546 1
O7 O 0.901 0.776 0.749 1
O8 O 0.914 0.358 0.948 1
# Spin magnetization, μB per formula unit: 0.000
# Energy, eV/atom: -6.09
# Maximum piezoelectric response, C/m2: 0.654
# DFT formation energy, eV per atom: -2.295
# Polymorph energy (0 for the lowest one), eV/f.u.: 0.09


Question: The highest DFT formation energy belongs to which entry?
Answer: number 5


Question: energy of number 11 (Li2CuPO4)?
Answer: -6.09 eV/atom


Question: The highest spin magnetization belongs to which entry?
Answer: number 1